(one)
Density functional theory data (PBE with a Hubbard U) for crystalline Li3Fe2P3O12 at its relaxed geometry.

Results
SG ... Ia-3d

Geometry as CIF:
```
data_Li3Fe2P3O12
_cell_length_a 10.196
_cell_length_b 10.196
_cell_length_c 10.196
_cell_angle_alpha 109.47
_cell_angle_beta 109.47
_cell_angle_gamma 109.47
_space_group_name_H-M_alt 'P 1'
_space_group_IT_number 1
loop_
_space_group_symop_operation_xyz
'x,y,z'
loop_
_atom_site_label
_atom_site_type_symbol
_atom_site_fract_x
_atom_site_fract_y
_atom_site_fract_z
Li1 Li 0.125 0.250 0.375
Li2 Li 0.125 0.375 0.750
Li3 Li 0.250 0.375 0.125
Li4 Li 0.250 0.875 0.625
Li5 Li 0.375 0.125 0.250
Li6 Li 0.375 0.750 0.125
Li7 Li 0.625 0.250 0.875
Li8 Li 0.625 0.875 0.750
Li9 Li 0.750 0.125 0.375
Li10 Li 0.750 0.625 0.875
Li11 Li 0.875 0.625 0.250
Li12 Li 0.875 0.750 0.625
Fe1 Fe 0.000 0.000 0.000
Fe2 Fe 0.000 0.000 0.500
Fe3 Fe 0.000 0.500 0.000
Fe4 Fe 0.000 0.500 0.500
Fe5 Fe 0.500 0.000 0.000
Fe6 Fe 0.500 0.000 0.500
Fe7 Fe 0.500 0.500 0.000
Fe8 Fe 0.500 0.500 0.500
P1 P 0.125 0.750 0.875
P2 P 0.125 0.875 0.250
P3 P 0.250 0.125 0.875
P4 P 0.250 0.625 0.375
P5 P 0.375 0.250 0.625
P6 P 0.375 0.625 0.750
P7 P 0.625 0.375 0.250
P8 P 0.625 0.750 0.375
P9 P 0.750 0.375 0.625
P10 P 0.750 0.875 0.125
P11 P 0.875 0.125 0.750
P12 P 0.875 0.250 0.125
O1 O 0.007 0.208 0.117
O2 O 0.007 0.299 0.890
O3 O 0.091 0.708 0.701
O4 O 0.091 0.883 0.390
O5 O 0.110 0.617 0.409
O6 O 0.110 0.993 0.701
O7 O 0.117 0.007 0.208
O8 O 0.117 0.610 0.909
O9 O 0.201 0.208 0.591
O10 O 0.201 0.493 0.610
O11 O 0.208 0.117 0.007
O12 O 0.208 0.591 0.201
O13 O 0.292 0.299 0.909
O14 O 0.292 0.493 0.383
O15 O 0.299 0.890 0.007
O16 O 0.299 0.909 0.292
O17 O 0.383 0.292 0.493
O18 O 0.383 0.591 0.890
O19 O 0.390 0.091 0.883
O20 O 0.390 0.799 0.507
O21 O 0.409 0.110 0.617
O22 O 0.409 0.799 0.792
O23 O 0.493 0.383 0.292
O24 O 0.493 0.610 0.201
O25 O 0.507 0.390 0.799
O26 O 0.507 0.617 0.708
O27 O 0.591 0.201 0.208
O28 O 0.591 0.890 0.383
O29 O 0.610 0.201 0.493
O30 O 0.610 0.909 0.117
O31 O 0.617 0.409 0.110
O32 O 0.617 0.708 0.507
O33 O 0.701 0.091 0.708
O34 O 0.701 0.110 0.993
O35 O 0.708 0.507 0.617
O36 O 0.708 0.701 0.091
O37 O 0.792 0.409 0.799
O38 O 0.792 0.883 0.993
O39 O 0.799 0.507 0.390
O40 O 0.799 0.792 0.409
O41 O 0.883 0.390 0.091
O42 O 0.883 0.993 0.792
O43 O 0.890 0.007 0.299
O44 O 0.890 0.383 0.591
O45 O 0.909 0.117 0.610
O46 O 0.909 0.292 0.299
O47 O 0.993 0.701 0.110
O48 O 0.993 0.792 0.883
```

***

(two)
Density functional theory data (PBE with a Hubbard U) for crystalline Li3Fe2P3O12 at its relaxed geometry.

Results
SG ... C2/m

Geometry as CIF:
```
data_Li3Fe2P3O12
_cell_length_a 4.890
_cell_length_b 4.890
_cell_length_c 18.889
_cell_angle_alpha 90.25
_cell_angle_beta 90.25
_cell_angle_gamma 67.10
_space_group_name_H-M_alt 'P 1'
_space_group_IT_number 1
loop_
_space_group_symop_operation_xyz
'x,y,z'
loop_
_atom_site_label
_atom_site_type_symbol
_atom_site_fract_x
_atom_site_fract_y
_atom_site_fract_z
Li1 Li 0.000 0.000 0.166
Li2 Li 0.000 0.000 0.834
Li3 Li 0.327 0.327 0.086
Li4 Li 0.327 0.327 0.753
Li5 Li 0.673 0.673 0.247
Li6 Li 0.673 0.673 0.914
Fe1 Fe 0.000 0.000 0.000
Fe2 Fe 0.000 0.000 0.500
Fe3 Fe 0.001 0.001 0.332
Fe4 Fe 0.999 0.999 0.668
P1 P 0.348 0.348 0.583
P2 P 0.349 0.349 0.252
P3 P 0.351 0.351 0.918
P4 P 0.649 0.649 0.082
P5 P 0.651 0.651 0.748
P6 P 0.652 0.652 0.417
O1 O 0.224 0.700 0.583
O2 O 0.234 0.234 0.316
O3 O 0.236 0.236 0.518
O4 O 0.237 0.698 0.257
O5 O 0.237 0.700 0.923
O6 O 0.240 0.240 0.985
O7 O 0.246 0.246 0.652
O8 O 0.252 0.252 0.851
O9 O 0.254 0.254 0.183
O10 O 0.300 0.763 0.077
O11 O 0.300 0.776 0.417
O12 O 0.302 0.763 0.743
O13 O 0.698 0.237 0.257
O14 O 0.700 0.224 0.583
O15 O 0.700 0.237 0.923
O16 O 0.746 0.746 0.817
O17 O 0.748 0.748 0.149
O18 O 0.754 0.754 0.348
O19 O 0.760 0.760 0.015
O20 O 0.763 0.300 0.077
O21 O 0.763 0.302 0.743
O22 O 0.764 0.764 0.482
O23 O 0.766 0.766 0.684
O24 O 0.776 0.300 0.417
```

***

Stability, descending: (two), (one)

***

(one)
Density functional theory data (PBE with a Hubbard U) for crystalline Li3Fe2P3O12 at its relaxed geometry.

Results
SG ... C2

Geometry as CIF:
```
data_Li3Fe2P3O12
_cell_length_a 8.603
_cell_length_b 8.603
_cell_length_c 8.544
_cell_angle_alpha 118.29
_cell_angle_beta 118.29
_cell_angle_gamma 61.72
_space_group_name_H-M_alt 'P 1'
_space_group_IT_number 1
loop_
_space_group_symop_operation_xyz
'x,y,z'
loop_
_atom_site_label
_atom_site_type_symbol
_atom_site_fract_x
_atom_site_fract_y
_atom_site_fract_z
Li1 Li 0.000 0.000 0.000
Li2 Li 0.102 0.495 0.095
Li3 Li 0.354 0.144 0.274
Li4 Li 0.505 0.898 0.905
Li5 Li 0.698 0.302 0.500
Li6 Li 0.856 0.646 0.726
Fe1 Fe 0.214 0.003 0.398
Fe2 Fe 0.498 0.298 0.102
Fe3 Fe 0.702 0.502 0.898
Fe4 Fe 0.997 0.786 0.602
P1 P 0.099 0.189 0.797
P2 P 0.302 0.698 0.000
P3 P 0.395 0.605 0.500
P4 P 0.602 0.098 0.700
P5 P 0.811 0.901 0.203
P6 P 0.902 0.398 0.300
O1 O 0.049 0.031 0.781
O2 O 0.083 0.229 0.296
O3 O 0.109 0.718 0.844
O4 O 0.145 0.143 0.624
O5 O 0.233 0.641 0.556
O6 O 0.262 0.217 0.986
O7 O 0.282 0.891 0.156
O8 O 0.337 0.538 0.061
O9 O 0.359 0.767 0.444
O10 O 0.416 0.412 0.340
O11 O 0.445 0.079 0.510
O12 O 0.462 0.663 0.939
O13 O 0.538 0.138 0.861
O14 O 0.588 0.584 0.660
O15 O 0.618 0.060 0.186
O16 O 0.659 0.262 0.735
O17 O 0.738 0.341 0.265
O18 O 0.771 0.917 0.704
O19 O 0.783 0.738 0.014
O20 O 0.857 0.855 0.376
O21 O 0.862 0.462 0.139
O22 O 0.921 0.555 0.490
O23 O 0.940 0.382 0.814
O24 O 0.969 0.951 0.219
```

***

(two)
Density functional theory data (PBE with a Hubbard U) for crystalline Li3Fe2P3O12 at its relaxed geometry.

Results
SG ... P1

Geometry as CIF:
```
data_Li3Fe2P3O12
_cell_length_a 8.391
_cell_length_b 8.413
_cell_length_c 9.050
_cell_angle_alpha 117.68
_cell_angle_beta 90.02
_cell_angle_gamma 119.88
_space_group_name_H-M_alt 'P 1'
_space_group_IT_number 1
loop_
_space_group_symop_operation_xyz
'x,y,z'
loop_
_atom_site_label
_atom_site_type_symbol
_atom_site_fract_x
_atom_site_fract_y
_atom_site_fract_z
Li1 Li 0.000 0.000 0.000
Li2 Li 0.062 0.874 0.277
Li3 Li 0.404 0.743 0.000
Li4 Li 0.478 0.747 0.516
Li5 Li 0.655 0.406 0.999
Li6 Li 0.814 0.229 0.284
Fe1 Fe 0.090 0.513 0.182
Fe2 Fe 0.386 0.116 0.092
Fe3 Fe 0.590 0.517 0.697
Fe4 Fe 0.883 0.104 0.577
P1 P 0.191 0.314 0.389
P2 P 0.271 0.306 0.885
P3 P 0.484 0.018 0.387
P4 P 0.693 0.018 0.893
P5 P 0.772 0.599 0.380
P6 P 0.986 0.604 0.889
O1 O 0.118 0.180 0.710
O2 O 0.194 0.121 0.237
O3 O 0.202 0.786 0.945
O4 O 0.225 0.479 0.339
O5 O 0.237 0.149 0.945
O6 O 0.256 0.494 0.026
O7 O 0.266 0.839 0.331
O8 O 0.350 0.444 0.560
O9 O 0.476 0.413 0.867
O10 O 0.528 0.052 0.230
O11 O 0.533 0.228 0.549
O12 O 0.566 0.108 0.944
O13 O 0.580 0.435 0.225
O14 O 0.597 0.797 0.876
O15 O 0.604 0.941 0.422
O16 O 0.720 0.992 0.717
O17 O 0.730 0.617 0.549
O18 O 0.860 0.682 0.867
O19 O 0.866 0.821 0.396
O20 O 0.890 0.176 0.043
O21 O 0.906 0.517 0.331
O22 O 0.931 0.394 0.722
O23 O 0.943 0.565 0.044
O24 O 0.985 0.204 0.406
```

***

Stability, descending: (two), (one)